No. 1
A geometry-optimized TiSiSnS2O12 structure, computed with PBE-GGA.

Computed properties:
spin magnetization = 0.0 μB/f.u.
crystal system = triclinic
total energy = -6.8790 eV per atom
ρ = 2.99 Mg/m³

Cell: 8.750 8.752 22.657 Å, 89.94 90.22 119.95°
Fractional coordinates of all 102 atoms:
Si: 0.001 0.294 0.250
Si: 0.380 0.339 0.084
Si: 0.333 0.953 0.916
Si: 0.615 0.949 0.416
Si: 0.296 0.295 0.749
Si: 0.955 0.339 0.584
O: 0.826 0.019 0.094
O: 0.853 0.359 0.640
O: 0.847 0.547 0.029
O: 0.956 0.777 0.803
O: 0.828 0.795 0.594
O: 0.827 0.309 0.241
O: 0.712 0.154 0.031
O: 0.458 0.159 0.530
O: 0.655 0.516 0.923
O: 0.638 0.145 0.427
O: 0.512 0.144 0.921
O: 0.695 0.539 0.247
O: 0.312 0.487 0.757
O: 0.153 0.704 0.470
O: 0.540 0.843 0.754
O: 0.485 0.312 0.733
O: 0.176 0.483 0.265
O: 0.552 0.700 0.970
O: 0.491 0.131 0.636
O: 0.351 0.507 0.076
O: 0.826 0.798 0.304
O: 0.031 0.194 0.193
O: 0.839 0.532 0.740
O: 0.461 0.153 0.244
O: 0.025 0.825 0.405
O: 0.535 0.695 0.259
O: 0.636 0.121 0.137
O: 0.155 0.966 0.913
O: 0.301 0.837 0.258
O: 0.187 0.160 0.096
O: 0.969 0.798 0.093
O: 0.973 0.163 0.306
O: 0.455 0.293 0.026
O: 0.801 0.832 0.908
O: 0.493 0.362 0.425
O: 0.125 0.632 0.364
O: 0.967 0.158 0.594
O: 0.370 0.868 0.858
O: 0.151 0.446 0.970
O: 0.540 0.833 0.476
O: 0.828 0.304 0.526
O: 0.180 0.198 0.405
O: 0.201 0.024 0.303
O: 0.497 0.373 0.143
O: 0.866 0.511 0.425
O: 0.012 0.194 0.910
O: 0.201 0.025 0.592
O: 0.695 0.538 0.530
O: 0.164 0.192 0.692
O: 0.879 0.510 0.136
O: 0.131 0.642 0.078
O: 0.639 0.507 0.637
O: 0.297 0.833 0.975
O: 0.820 0.033 0.804
O: 0.812 0.975 0.404
O: 0.363 0.491 0.364
O: 0.515 0.629 0.863
O: 0.491 0.853 0.359
O: 0.800 0.972 0.697
O: 0.175 0.966 0.197
O: 0.291 0.444 0.469
O: 0.695 0.159 0.741
O: 0.154 0.692 0.754
O: 0.362 0.872 0.577
O: 0.023 0.823 0.696
O: 0.792 0.822 0.197
O: 0.149 0.507 0.575
O: 0.513 0.868 0.077
O: 0.510 0.637 0.579
O: 0.866 0.364 0.926
O: 0.114 0.481 0.863
O: 0.214 0.173 0.807
Ti: 0.336 0.672 0.310
Ti: 0.678 0.322 0.477
Ti: 0.013 0.026 0.643
Ti: 0.670 0.340 0.688
Ti: 0.987 0.011 0.356
Ti: 0.017 0.025 0.145
Sn: 0.665 0.337 0.189
Sn: 0.652 0.322 0.979
Sn: 0.336 0.665 0.521
Sn: 0.334 0.669 0.810
Sn: 0.331 0.666 0.021
Sn: 0.015 0.003 0.853
S: 0.335 0.377 0.415
S: 0.672 0.042 0.085
S: 0.715 0.718 0.251
S: 0.995 0.710 0.747
S: 0.629 0.670 0.916
S: 0.283 0.997 0.251
S: 0.381 0.049 0.584
S: 0.716 0.004 0.749
S: 0.955 0.627 0.083
S: 0.672 0.621 0.584
S: 0.044 0.670 0.415
S: 0.037 0.373 0.917



No. 2
A geometry-optimized Y2SiSn2S5O24 structure, computed with PBE-GGA.

Computed properties:
spin magnetization = 0.0 μB/f.u.
crystal system = triclinic
total energy = -6.7216 eV per atom
ρ = 2.95 Mg/m³

Cell: 9.047 9.067 23.531 Å, 89.71 90.15 120.14°
Fractional coordinates of all 102 atoms:
O: 0.511 0.860 0.074
O: 0.692 0.551 0.242
O: 0.047 0.227 0.200
O: 0.170 0.160 0.094
O: 0.697 0.548 0.530
O: 0.127 0.486 0.867
O: 0.032 0.809 0.409
O: 0.349 0.867 0.574
O: 0.877 0.364 0.926
O: 0.473 0.114 0.633
O: 0.821 0.021 0.799
O: 0.192 0.013 0.591
O: 0.538 0.696 0.969
O: 0.981 0.805 0.798
O: 0.174 0.476 0.260
O: 0.353 0.863 0.868
O: 0.308 0.839 0.972
O: 0.897 0.527 0.134
O: 0.033 0.215 0.913
O: 0.507 0.379 0.428
O: 0.865 0.562 0.033
O: 0.441 0.150 0.531
O: 0.989 0.196 0.302
O: 0.789 0.971 0.412
O: 0.814 0.801 0.299
O: 0.341 0.503 0.075
O: 0.455 0.302 0.740
O: 0.786 0.822 0.912
O: 0.867 0.506 0.425
O: 0.377 0.492 0.366
O: 0.153 0.706 0.752
O: 0.638 0.107 0.134
O: 0.513 0.645 0.867
O: 0.159 0.504 0.570
O: 0.311 0.462 0.468
O: 0.889 0.373 0.637
O: 0.796 0.970 0.697
O: 0.442 0.297 0.028
O: 0.636 0.518 0.925
O: 0.705 0.138 0.033
O: 0.698 0.148 0.741
O: 0.026 0.829 0.694
O: 0.481 0.367 0.139
O: 0.983 0.807 0.094
O: 0.155 0.464 0.970
O: 0.815 0.000 0.094
O: 0.785 0.826 0.197
O: 0.489 0.113 0.925
O: 0.547 0.844 0.754
O: 0.988 0.166 0.590
O: 0.845 0.301 0.526
O: 0.299 0.451 0.753
O: 0.636 0.521 0.632
O: 0.533 0.697 0.256
O: 0.202 0.217 0.411
O: 0.519 0.651 0.574
O: 0.176 0.201 0.696
O: 0.455 0.130 0.242
O: 0.202 0.010 0.301
O: 0.489 0.870 0.361
O: 0.616 0.139 0.425
O: 0.205 0.181 0.799
O: 0.175 0.956 0.199
O: 0.519 0.832 0.475
O: 0.147 0.669 0.074
O: 0.292 0.823 0.257
O: 0.149 0.682 0.468
O: 0.113 0.617 0.365
O: 0.181 0.962 0.914
O: 0.845 0.555 0.741
O: 0.826 0.799 0.589
O: 0.868 0.327 0.242
Y: 0.656 0.334 0.184
Y: 0.989 0.001 0.363
Y: 0.004 0.003 0.859
Y: 0.681 0.336 0.684
Y: 0.654 0.331 0.985
Y: 0.329 0.663 0.807
Si: 0.605 0.952 0.419
Si: 0.969 0.337 0.582
Si: 0.360 0.333 0.084
S: 0.669 0.627 0.581
S: 0.042 0.655 0.418
S: 0.046 0.383 0.919
S: 0.000 0.723 0.747
S: 0.335 0.946 0.919
S: 0.367 0.037 0.582
S: 0.285 0.283 0.747
S: 0.971 0.639 0.084
S: 0.617 0.668 0.918
S: 0.014 0.303 0.252
S: 0.349 0.388 0.419
S: 0.667 0.029 0.084
S: 0.707 0.717 0.250
S: 0.282 0.984 0.252
S: 0.717 0.998 0.748
Sn: 0.006 0.006 0.149
Sn: 0.334 0.665 0.521
Sn: 0.672 0.319 0.481
Sn: 0.337 0.672 0.316
Sn: 0.333 0.661 0.022
Sn: 0.998 0.006 0.643



No. 3
A geometry-optimized ZrSiSnS2O12 structure, computed with PBE-GGA.

Computed properties:
spin magnetization = 0.0 μB/f.u.
crystal system = triclinic
total energy = -6.9854 eV per atom
ρ = 3.07 Mg/m³

Cell: 8.941 8.944 23.162 Å, 89.88 90.07 119.90°
Fractional coordinates of all 102 atoms:
S: 0.714 0.709 0.249
S: 0.954 0.619 0.082
S: 0.334 0.379 0.417
S: 0.712 0.997 0.752
S: 0.629 0.670 0.916
S: 0.001 0.712 0.751
S: 0.047 0.670 0.416
S: 0.290 0.003 0.250
S: 0.666 0.623 0.583
S: 0.038 0.374 0.917
S: 0.664 0.043 0.083
S: 0.378 0.041 0.583
Zr: 0.674 0.325 0.477
Zr: 0.014 0.019 0.143
Zr: 0.670 0.336 0.689
Zr: 0.009 0.021 0.644
Zr: 0.334 0.668 0.309
Zr: 0.986 0.009 0.356
Sn: 0.335 0.665 0.521
Sn: 0.651 0.321 0.977
Sn: 0.332 0.665 0.020
Sn: 0.334 0.668 0.814
Sn: 0.018 0.004 0.855
Sn: 0.665 0.337 0.186
O: 0.296 0.450 0.469
O: 0.821 0.310 0.238
O: 0.532 0.831 0.476
O: 0.360 0.511 0.073
O: 0.486 0.123 0.635
O: 0.508 0.139 0.923
O: 0.654 0.519 0.924
O: 0.880 0.509 0.134
O: 0.159 0.965 0.911
O: 0.152 0.699 0.469
O: 0.184 0.204 0.409
O: 0.027 0.819 0.699
O: 0.964 0.785 0.803
O: 0.970 0.789 0.091
O: 0.205 0.174 0.808
O: 0.633 0.120 0.135
O: 0.873 0.518 0.424
O: 0.501 0.374 0.141
O: 0.199 0.172 0.092
O: 0.540 0.690 0.257
O: 0.509 0.872 0.075
O: 0.464 0.157 0.242
O: 0.162 0.478 0.260
O: 0.976 0.169 0.591
O: 0.024 0.198 0.193
O: 0.181 0.972 0.198
O: 0.113 0.481 0.865
O: 0.454 0.152 0.531
O: 0.150 0.447 0.969
O: 0.367 0.864 0.859
O: 0.868 0.368 0.639
O: 0.031 0.824 0.407
O: 0.704 0.155 0.031
O: 0.124 0.635 0.365
O: 0.489 0.365 0.426
O: 0.497 0.858 0.361
O: 0.868 0.362 0.927
O: 0.847 0.540 0.029
O: 0.204 0.019 0.591
O: 0.805 0.968 0.410
O: 0.821 0.788 0.301
O: 0.539 0.842 0.758
O: 0.360 0.487 0.366
O: 0.636 0.512 0.635
O: 0.128 0.637 0.075
O: 0.362 0.870 0.576
O: 0.154 0.511 0.573
O: 0.690 0.543 0.531
O: 0.468 0.304 0.026
O: 0.309 0.849 0.256
O: 0.815 0.019 0.091
O: 0.478 0.315 0.739
O: 0.156 0.695 0.758
O: 0.509 0.640 0.577
O: 0.799 0.828 0.907
O: 0.964 0.170 0.305
O: 0.693 0.151 0.744
O: 0.840 0.311 0.527
O: 0.848 0.539 0.744
O: 0.553 0.701 0.968
O: 0.210 0.028 0.301
O: 0.309 0.488 0.761
O: 0.819 0.793 0.593
O: 0.694 0.535 0.244
O: 0.818 0.026 0.805
O: 0.792 0.815 0.197
O: 0.791 0.967 0.700
O: 0.012 0.198 0.910
O: 0.634 0.137 0.425
O: 0.168 0.204 0.696
O: 0.517 0.632 0.864
O: 0.300 0.830 0.975
Si: 0.292 0.298 0.752
Si: 0.964 0.344 0.583
Si: 0.992 0.293 0.248
Si: 0.333 0.951 0.917
Si: 0.387 0.345 0.082
Si: 0.614 0.947 0.418



No. 4
A geometry-optimized Ta2Si2SO12 structure, computed with PBE-GGA.

Computed properties:
spin magnetization = 0.0 μB/f.u.
total energy = -8.2323 eV per atom
ρ = 4.10 Mg/m³

Cell: 8.876 8.880 22.881 Å, 90.72 90.00 119.98°
Fractional coordinates of all 102 atoms:
Si: 0.001 0.283 0.250
Si: 0.615 0.949 0.417
Si: 0.949 0.616 0.083
Si: 0.386 0.341 0.084
Si: 0.955 0.341 0.584
Si: 0.667 0.616 0.583
Si: 0.053 0.674 0.417
Si: 0.282 0.283 0.750
Si: 0.289 0.008 0.250
Si: 0.334 0.949 0.917
Si: 0.719 0.008 0.750
Si: 0.622 0.674 0.917
O: 0.961 0.803 0.095
O: 0.472 0.302 0.026
O: 0.858 0.495 0.140
O: 0.139 0.635 0.359
O: 0.204 0.023 0.593
O: 0.158 0.461 0.970
O: 0.698 0.541 0.243
O: 0.805 0.969 0.693
O: 0.152 0.689 0.760
O: 0.191 0.162 0.807
O: 0.505 0.363 0.140
O: 0.839 0.030 0.807
O: 0.830 0.516 0.026
O: 0.304 0.829 0.974
O: 0.122 0.487 0.865
O: 0.176 0.470 0.262
O: 0.525 0.829 0.474
O: 0.975 0.168 0.592
O: 0.193 0.168 0.092
O: 0.172 0.696 0.474
O: 0.031 0.208 0.910
O: 0.031 0.820 0.698
O: 0.294 0.470 0.762
O: 0.809 0.976 0.405
O: 0.497 0.635 0.859
O: 0.027 0.839 0.404
O: 0.871 0.356 0.926
O: 0.167 0.976 0.905
O: 0.020 0.183 0.193
O: 0.844 0.541 0.743
O: 0.642 0.501 0.926
O: 0.970 0.795 0.803
O: 0.693 0.172 0.737
O: 0.353 0.850 0.859
O: 0.364 0.874 0.576
O: 0.970 0.162 0.307
O: 0.145 0.506 0.571
O: 0.479 0.172 0.237
O: 0.491 0.128 0.636
O: 0.365 0.487 0.365
O: 0.510 0.874 0.076
O: 0.858 0.363 0.640
O: 0.637 0.128 0.136
O: 0.501 0.643 0.571
O: 0.526 0.835 0.759
O: 0.825 0.795 0.303
O: 0.476 0.310 0.738
O: 0.309 0.835 0.259
O: 0.163 0.183 0.693
O: 0.818 0.023 0.093
O: 0.360 0.506 0.071
O: 0.698 0.153 0.031
O: 0.496 0.850 0.359
O: 0.509 0.137 0.929
O: 0.859 0.501 0.426
O: 0.455 0.153 0.531
O: 0.843 0.803 0.595
O: 0.627 0.137 0.429
O: 0.830 0.302 0.526
O: 0.191 0.030 0.307
O: 0.789 0.820 0.198
O: 0.163 0.969 0.193
O: 0.834 0.310 0.238
O: 0.142 0.643 0.071
O: 0.637 0.495 0.640
O: 0.303 0.461 0.470
O: 0.177 0.208 0.410
O: 0.687 0.516 0.526
O: 0.812 0.839 0.904
O: 0.485 0.356 0.426
O: 0.538 0.689 0.260
O: 0.524 0.696 0.974
Ta: 0.988 0.009 0.642
Ta: 0.339 0.675 0.524
Ta: 0.672 0.342 0.191
Ta: 0.669 0.342 0.691
Ta: 0.655 0.342 0.975
Ta: 0.354 0.675 0.809
Ta: 0.003 0.008 0.358
Ta: 0.021 0.009 0.142
Ta: 0.336 0.675 0.024
Ta: 0.006 0.008 0.858
Ta: 0.321 0.675 0.309
Ta: 0.687 0.342 0.475
S: 0.003 0.717 0.750
S: 0.381 0.050 0.584
S: 0.670 0.050 0.084
S: 0.714 0.717 0.250
S: 0.337 0.384 0.417
S: 0.047 0.384 0.917



Copy entry 1 word for word.
A geometry-optimized TiSiSnS2O12 structure, computed with PBE-GGA.

Computed properties:
spin magnetization = 0.0 μB/f.u.
crystal system = triclinic
total energy = -6.8790 eV per atom
ρ = 2.99 Mg/m³

Cell: 8.750 8.752 22.657 Å, 89.94 90.22 119.95°
Fractional coordinates of all 102 atoms:
Si: 0.001 0.294 0.250
Si: 0.380 0.339 0.084
Si: 0.333 0.953 0.916
Si: 0.615 0.949 0.416
Si: 0.296 0.295 0.749
Si: 0.955 0.339 0.584
O: 0.826 0.019 0.094
O: 0.853 0.359 0.640
O: 0.847 0.547 0.029
O: 0.956 0.777 0.803
O: 0.828 0.795 0.594
O: 0.827 0.309 0.241
O: 0.712 0.154 0.031
O: 0.458 0.159 0.530
O: 0.655 0.516 0.923
O: 0.638 0.145 0.427
O: 0.512 0.144 0.921
O: 0.695 0.539 0.247
O: 0.312 0.487 0.757
O: 0.153 0.704 0.470
O: 0.540 0.843 0.754
O: 0.485 0.312 0.733
O: 0.176 0.483 0.265
O: 0.552 0.700 0.970
O: 0.491 0.131 0.636
O: 0.351 0.507 0.076
O: 0.826 0.798 0.304
O: 0.031 0.194 0.193
O: 0.839 0.532 0.740
O: 0.461 0.153 0.244
O: 0.025 0.825 0.405
O: 0.535 0.695 0.259
O: 0.636 0.121 0.137
O: 0.155 0.966 0.913
O: 0.301 0.837 0.258
O: 0.187 0.160 0.096
O: 0.969 0.798 0.093
O: 0.973 0.163 0.306
O: 0.455 0.293 0.026
O: 0.801 0.832 0.908
O: 0.493 0.362 0.425
O: 0.125 0.632 0.364
O: 0.967 0.158 0.594
O: 0.370 0.868 0.858
O: 0.151 0.446 0.970
O: 0.540 0.833 0.476
O: 0.828 0.304 0.526
O: 0.180 0.198 0.405
O: 0.201 0.024 0.303
O: 0.497 0.373 0.143
O: 0.866 0.511 0.425
O: 0.012 0.194 0.910
O: 0.201 0.025 0.592
O: 0.695 0.538 0.530
O: 0.164 0.192 0.692
O: 0.879 0.510 0.136
O: 0.131 0.642 0.078
O: 0.639 0.507 0.637
O: 0.297 0.833 0.975
O: 0.820 0.033 0.804
O: 0.812 0.975 0.404
O: 0.363 0.491 0.364
O: 0.515 0.629 0.863
O: 0.491 0.853 0.359
O: 0.800 0.972 0.697
O: 0.175 0.966 0.197
O: 0.291 0.444 0.469
O: 0.695 0.159 0.741
O: 0.154 0.692 0.754
O: 0.362 0.872 0.577
O: 0.023 0.823 0.696
O: 0.792 0.822 0.197
O: 0.149 0.507 0.575
O: 0.513 0.868 0.077
O: 0.510 0.637 0.579
O: 0.866 0.364 0.926
O: 0.114 0.481 0.863
O: 0.214 0.173 0.807
Ti: 0.336 0.672 0.310
Ti: 0.678 0.322 0.477
Ti: 0.013 0.026 0.643
Ti: 0.670 0.340 0.688
Ti: 0.987 0.011 0.356
Ti: 0.017 0.025 0.145
Sn: 0.665 0.337 0.189
Sn: 0.652 0.322 0.979
Sn: 0.336 0.665 0.521
Sn: 0.334 0.669 0.810
Sn: 0.331 0.666 0.021
Sn: 0.015 0.003 0.853
S: 0.335 0.377 0.415
S: 0.672 0.042 0.085
S: 0.715 0.718 0.251
S: 0.995 0.710 0.747
S: 0.629 0.670 0.916
S: 0.283 0.997 0.251
S: 0.381 0.049 0.584
S: 0.716 0.004 0.749
S: 0.955 0.627 0.083
S: 0.672 0.621 0.584
S: 0.044 0.670 0.415
S: 0.037 0.373 0.917